Entry 1:
4
Lattice="7.034 0.000 0.000 0.000 7.034 0.000 0.000 0.000 7.034" Properties=species:S:1:pos:R:3 comment="CsK3 | Materials Project | meta-GGA r2SCAN | relaxed" formation_enthalpy_0k_ev_per_atom=0.0184 total_magnetization_mub_per_cell=0.00 pbc="T T T"
Cs 0.000 0.000 0.000
K 0.000 3.517 3.517
K 3.517 0.000 3.517
K 3.517 3.517 0.000

***

Entry 2:
16
Lattice="7.028 0.000 0.000 0.000 7.028 0.000 0.000 0.000 7.028" Properties=species:S:1:pos:R:3 comment="Ho2MgRu | Materials Project | meta-GGA r2SCAN | relaxed" formation_enthalpy_0k_ev_per_atom=-0.2381 total_magnetization_mub_per_cell=0.00 pbc="T T T"
Ho 1.757 1.757 1.757
Ho 1.757 1.757 5.271
Ho 1.757 5.271 1.757
Ho 1.757 5.271 5.271
Ho 5.271 1.757 1.757
Ho 5.271 1.757 5.271
Ho 5.271 5.271 1.757
Ho 5.271 5.271 5.271
Mg 0.000 0.000 0.000
Mg 0.000 3.514 3.514
Mg 3.514 0.000 3.514
Mg 3.514 3.514 0.000
Ru 0.000 0.000 3.514
Ru 0.000 3.514 0.000
Ru 3.514 0.000 0.000
Ru 3.514 3.514 3.514

***

Entry 3:
48
Lattice="-5.328 5.328 9.480 5.328 -5.328 9.480 5.328 5.328 -9.480" Properties=species:S:1:pos:R:3 comment="ErPS4 | Materials Project | meta-GGA r2SCAN | relaxed" formation_enthalpy_0k_ev_per_atom=-1.1869 total_magnetization_mub_per_cell=0.00 pbc="T T T"
Er 5.328 2.664 -2.370
Er 5.328 -2.664 7.110
Er 0.000 2.664 2.370
Er 5.328 2.664 2.370
Er 0.000 2.664 7.110
Er 5.328 2.664 7.110
Er 0.000 7.992 2.370
Er 0.000 2.664 11.850
P 2.664 2.260 0.000
P 0.404 0.000 4.740
P 5.732 0.000 4.740
P 2.664 -2.260 9.480
P 2.664 7.588 0.000
P -0.404 5.328 4.740
P 4.924 5.328 4.740
P 2.664 3.068 9.480
S 6.783 -1.738 4.668
S 6.783 3.590 -4.668
S 8.045 1.966 -1.701
S 4.402 1.209 -0.073
S 0.926 1.209 0.073
S 4.630 5.274 -6.441
S 4.630 0.054 3.039
S 2.610 3.362 -1.701
S 7.938 1.966 1.701
S 4.630 -0.054 6.441
S 4.630 5.381 -3.039
S 6.254 4.119 -0.073
S 4.402 -1.209 9.553
S 2.717 3.362 1.701
S 1.455 1.738 4.668
S 6.783 1.738 4.813
S -1.455 3.590 4.668
S 3.873 3.590 4.813
S 2.610 1.966 7.779
S 0.926 6.537 -0.073
S -0.926 1.209 9.553
S 0.698 -0.054 12.520
S 0.698 5.381 3.039
S -2.610 3.362 7.779
S 2.717 1.966 11.181
S 0.698 5.274 6.441
S 0.698 0.054 15.921
S 4.402 4.119 9.408
S 0.926 4.119 9.553
S -2.717 3.362 11.181
S -1.455 1.738 14.148
S -1.455 7.066 4.813

***

Entry 4:
50
Lattice="7.508 -4.025 0.000 7.508 4.025 0.000 -3.879 0.000 11.687" Properties=species:S:1:pos:R:3 comment="Al19Co6 | Materials Project | meta-GGA r2SCAN | relaxed" formation_enthalpy_0k_ev_per_atom=-0.3615 total_magnetization_mub_per_cell=0.00 pbc="T T T"
Al 1.290 2.232 10.358
Al 2.256 2.225 7.756
Al 0.324 0.000 2.025
Al -1.082 0.000 6.776
Al -1.692 0.000 9.176
Al 5.142 1.736 1.278
Al 3.727 1.572 5.573
Al 1.482 0.000 6.095
Al -0.126 0.000 11.390
Al 7.508 2.016 0.000
Al 6.117 1.787 3.865
Al 5.020 1.787 7.822
Al 1.371 0.000 8.919
Al 3.769 0.000 3.176
Al 8.880 2.225 3.930
Al 9.846 2.232 1.329
Al 5.995 1.736 10.409
Al 7.410 1.572 6.114
Al 3.880 0.000 9.717
Al 7.257 0.000 1.970
Al 3.727 -1.572 5.573
Al 5.142 -1.736 1.278
Al 1.290 -2.232 10.358
Al 2.256 -2.225 7.756
Al 7.368 0.000 8.510
Al 9.766 0.000 2.768
Al 6.117 -1.787 3.865
Al 5.020 -1.787 7.822
Al 7.508 -2.016 0.000
Al 11.263 0.000 0.296
Al 9.654 0.000 5.591
Al 7.410 -1.572 6.114
Al 5.995 -1.736 10.409
Al 12.829 0.000 2.511
Al 12.219 0.000 4.911
Al 10.813 0.000 9.661
Al 8.880 -2.225 3.930
Al 9.846 -2.232 1.329
Co 3.795 2.222 3.277
Co -0.258 0.000 4.443
Co -2.453 0.000 11.505
Co 3.434 0.000 7.382
Co 7.341 2.222 8.410
Co 2.194 0.000 11.493
Co 8.943 0.000 0.193
Co 3.795 -2.222 3.277
Co 7.703 0.000 4.305
Co 13.590 0.000 0.182
Co 11.394 0.000 7.244
Co 7.341 -2.222 8.410

***

Entry 5:
120
Lattice="8.941 0.000 0.000 0.000 19.128 0.000 -0.058 0.000 12.238" Properties=species:S:1:pos:R:3 comment="KAsO3 | Materials Project | meta-GGA r2SCAN | relaxed" formation_enthalpy_0k_ev_per_atom=-1.6672 total_magnetization_mub_per_cell=0.00 pbc="T T T"
K 0.933 1.452 2.446
K 0.904 8.112 8.565
K 1.083 14.306 10.834
K 1.112 14.386 4.715
K 1.211 1.414 6.682
K 1.240 8.150 0.563
K 3.283 4.756 7.768
K 3.312 4.808 1.649
K 3.360 10.981 9.687
K 3.381 11.059 5.522
K 3.352 17.633 11.640
K 3.389 17.711 3.568
K 5.494 1.417 8.670
K 5.530 1.495 0.597
K 5.501 8.069 6.716
K 5.523 8.147 2.551
K 5.571 14.320 10.588
K 5.600 14.372 4.469
K 7.643 10.978 11.674
K 7.672 17.714 5.555
K 7.770 4.742 7.523
K 7.799 4.822 1.404
K 7.979 11.016 3.672
K 7.949 17.676 9.791
As 0.366 11.585 8.140
As 0.395 17.107 2.021
As 1.053 4.705 10.697
As 1.082 4.859 4.579
As 1.862 11.578 2.000
As 1.833 17.114 8.119
As 2.511 2.007 11.242
As 2.540 7.557 5.123
As 3.377 14.268 1.529
As 3.348 14.425 7.647
As 4.047 1.992 5.021
As 4.018 7.572 11.140
As 4.864 11.556 1.097
As 4.835 17.136 7.216
As 5.535 4.704 4.590
As 5.506 4.861 10.709
As 6.343 11.572 7.114
As 6.372 17.121 0.995
As 7.049 2.014 4.118
As 7.020 7.550 10.237
As 7.801 14.269 7.659
As 7.830 14.423 1.540
As 8.488 2.021 10.217
As 8.517 7.543 4.098
O 0.188 13.122 7.261
O 0.217 15.571 1.142
O 0.329 11.838 9.769
O 0.358 16.854 3.651
O 0.639 10.723 1.306
O 0.610 17.970 7.425
O 0.848 4.087 3.146
O 0.819 5.477 9.264
O 1.022 1.173 10.745
O 1.051 8.392 4.626
O 1.325 4.058 5.994
O 1.296 5.506 12.113
O 1.617 10.717 7.511
O 1.646 17.975 1.392
O 1.805 11.885 3.620
O 1.776 16.807 9.739
O 2.075 13.103 1.110
O 2.046 15.589 7.229
O 2.356 3.523 10.320
O 2.385 6.041 4.201
O 2.566 2.331 0.621
O 2.537 7.233 6.740
O 2.818 1.151 4.319
O 2.789 8.413 10.438
O 3.079 13.622 9.059
O 3.108 15.071 2.940
O 3.364 10.723 1.570
O 3.335 17.970 7.689
O 3.620 13.649 6.223
O 3.649 15.044 0.104
O 3.754 1.109 10.640
O 3.783 8.456 4.522
O 4.016 2.249 6.651
O 4.045 7.315 0.532
O 4.237 3.539 4.161
O 4.208 6.025 10.280
O 4.674 13.103 1.958
O 4.645 15.589 8.076
O 4.838 11.813 11.705
O 4.867 16.879 5.587
O 5.100 10.673 7.716
O 5.129 18.020 1.597
O 5.233 4.084 12.134
O 5.262 5.480 6.015
O 5.548 1.159 4.549
O 5.519 8.406 10.667
O 5.775 4.058 9.298
O 5.804 5.506 3.179
O 6.094 10.715 1.800
O 6.065 17.978 7.918
O 6.345 11.896 5.498
O 6.316 16.797 11.616
O 6.498 13.087 8.036
O 6.527 15.605 1.918
O 6.836 3.539 5.009
O 6.807 6.025 11.127
O 7.106 2.321 2.499
O 7.077 7.243 8.618
O 7.236 1.153 10.845
O 7.265 8.411 4.726
O 7.587 13.623 0.125
O 7.558 15.070 6.243
O 7.831 10.737 7.612
O 7.860 17.956 1.493
O 8.064 13.651 2.973
O 8.035 15.041 9.092
O 8.272 1.159 4.813
O 8.243 8.406 10.932
O 8.525 2.274 8.587
O 8.554 7.290 2.468
O 8.665 3.558 11.096
O 8.694 6.007 4.977

***

Entry 6:
10
Lattice="4.153 0.000 0.000 0.000 5.341 0.000 0.000 0.000 8.629" Properties=species:S:1:pos:R:3 comment="Gd2AlCo2 | Materials Project | meta-GGA r2SCAN | relaxed" formation_enthalpy_0k_ev_per_atom=-0.2449 total_magnetization_mub_per_cell=26.12 pbc="T T T"
Gd 0.000 0.000 1.768
Gd 0.000 0.000 6.861
Gd 2.077 2.670 2.547
Gd 2.077 2.670 6.082
Al 0.000 2.670 0.000
Al 2.077 0.000 4.314
Co 0.000 1.524 4.314
Co 0.000 3.817 4.314
Co 2.077 1.147 0.000
Co 2.077 4.194 0.000

***

Entry 7:
30
Lattice="5.658 -5.832 0.000 5.658 5.832 0.000 -3.459 0.000 7.594" Properties=species:S:1:pos:R:3 comment="K3W2O4F6 | Materials Project | meta-GGA r2SCAN | relaxed" formation_enthalpy_0k_ev_per_atom=-2.7280 total_magnetization_mub_per_cell=2.00 pbc="T T T"
K 0.000 0.000 0.000
K -1.729 0.000 3.797
K 0.528 1.211 7.583
K 2.258 -1.211 3.785
K 5.599 1.211 3.809
K 7.328 -1.211 0.012
W 1.845 2.392 2.763
W 0.115 -2.392 6.561
W 7.741 2.392 1.034
W 6.012 -2.392 4.831
O 3.022 3.614 2.408
O 1.931 2.322 4.698
O 6.563 3.614 1.389
O 4.196 2.322 6.693
O 3.661 -2.322 0.901
O 1.293 -3.614 6.205
O 5.925 -2.322 2.896
O 4.834 -3.614 5.186
F 0.635 3.771 6.783
F 0.667 0.729 2.816
F -1.063 -0.729 6.613
F 3.235 0.943 2.595
F 5.491 3.771 4.609
F 1.506 -0.943 6.393
F 6.351 0.943 1.202
F 2.365 -3.771 2.985
F 4.621 -0.943 4.999
F 8.919 0.729 0.981
F 7.190 -0.729 4.778
F 7.221 -3.771 0.812

***

Entry 8:
16
Lattice="6.706 0.000 0.000 0.000 6.706 0.000 0.000 0.000 6.706" Properties=species:S:1:pos:R:3 comment="Cd2AgAu | Materials Project | meta-GGA r2SCAN | relaxed" formation_enthalpy_0k_ev_per_atom=-0.1519 total_magnetization_mub_per_cell=0.00 pbc="T T T"
Cd 1.676 1.676 1.676
Cd 1.676 1.676 5.029
Cd 1.676 5.029 1.676
Cd 1.676 5.029 5.029
Cd 5.029 1.676 1.676
Cd 5.029 1.676 5.029
Cd 5.029 5.029 1.676
Cd 5.029 5.029 5.029
Ag 0.000 0.000 0.000
Ag 0.000 3.353 3.353
Ag 3.353 0.000 3.353
Ag 3.353 3.353 0.000
Au 0.000 0.000 3.353
Au 0.000 3.353 0.000
Au 3.353 0.000 0.000
Au 3.353 3.353 3.353

***

Listing electronic total energy for the structures above in their given order: -10.772; -24.077; -13.697; -8.654; -9.396; -24.244; -13.624; -28.190 eV per atom.